Entry 1:
The following is a GGA-PBE calculation of a relaxed structure of Pu6Co, from Materials Project.

Properties
DFT formation energy: 0.53 eV/atom
Crystal system: tetragonal
Electronic total energy: -356.05 eV per cell

Unit cell a=10.5570 b=10.5570 c=5.1881 alpha=90.00 beta=90.00 gamma=90.00
Space group I4/mcm (No. 140)
Asymmetric unit:
Pu (0.0972, 0.4028, 0.0000) [8 per cell]
Pu (0.0976, 0.2142, 0.5000) [16 per cell]
Co (0.0000, 0.0000, 0.2500) [4 per cell]

***

Entry 2:
The following is a GGA-PBE calculation of a relaxed structure of RbCo2S2, from Materials Project.

Properties
DFT formation energy: -0.81 eV/atom
Energy with MP2020 corrections: -5.509 eV/atom
Crystal system: tetragonal
Electronic total energy: -53.07 eV per cell

Unit cell a=3.7602 b=3.7602 c=13.2886 alpha=90.00 beta=90.00 gamma=90.00
Space group I4/mmm (No. 139)
Asymmetric unit:
Rb (0.0000, 0.0000, 0.0000) [2 per cell]
Co (0.0000, 0.5000, 0.2500) [4 per cell]
S (0.0000, 0.0000, 0.3395) [4 per cell]

***

Entry 3:
The following is a GGA-PBE calculation of a relaxed structure of Rb9Co2S7, from Materials Project.

Properties
DFT formation energy: -1.05 eV/atom
Energy with MP2020 corrections: -3.937 eV/atom
Crystal system: cubic
Electronic total energy: -269.38 eV per cell

Unit cell a=13.2603 b=13.2603 c=13.2603 alpha=90.00 beta=90.00 gamma=90.00
Space group P2_13 (No. 198)
Asymmetric unit:
Rb (0.0118, 0.4882, 0.5118) [4 per cell]
Rb (0.0400, 0.7051, 0.0784) [12 per cell]
Rb (0.0481, 0.7522, 0.5824) [12 per cell]
Rb (0.1638, 0.1638, 0.1638) [4 per cell]
Rb (0.1939, 0.3061, 0.6939) [4 per cell]
Co (0.1501, 0.8499, 0.3499) [4 per cell]
Co (0.1767, 0.6767, 0.8233) [4 per cell]
S (0.0477, 0.9523, 0.4523) [4 per cell]
S (0.0666, 0.7993, 0.8295) [12 per cell]
S (0.0888, 0.6862, 0.3409) [12 per cell]

***

Entry 4:
The following is a GGA-PBE calculation of a relaxed structure of RbCo2Se2, from Materials Project.

Properties
DFT formation energy: -0.66 eV/atom
Energy with MP2020 corrections: -5.095 eV/atom
Crystal system: tetragonal
Electronic total energy: -49.06 eV per cell

Unit cell a=3.9174 b=3.9174 c=13.9522 alpha=90.00 beta=90.00 gamma=90.00
Space group I4/mmm (No. 139)
Asymmetric unit:
Rb (0.0000, 0.0000, 0.0000) [2 per cell]
Co (0.0000, 0.5000, 0.2500) [4 per cell]
Se (0.0000, 0.0000, 0.3441) [4 per cell]